{"formula": "Si3N4", "functional": "GGA-PBE", "state": "relaxed", "formation_energy_ev_per_atom": -0.71, "sg": "P1", "magnetic_moment_mub_per_cell": 0.0, "energy_ev_per_cell": -797.6, "polymorph_energy_mev_per_atom": 586, "lattice_angstrom": [[10.518, 0.000, 0.000], [-0.414, 10.550, 0.000], [-0.207, -0.189, 10.834]], "species": ["Si", "Si", "Si", "Si", "Si", "Si", "Si", "Si", "Si", "Si", "Si", "Si", "Si", "Si", "Si", "Si", "Si", "Si", "Si", "Si", "Si", "Si", "Si", "Si", "Si", "Si", "Si", "Si", "Si", "Si", "Si", "Si", "Si", "Si", "Si", "Si", "Si", "Si", "Si", "Si", "Si", "Si", "Si", "Si", "Si", "N", "N", "N", "N", "N", "N", "N", "N", "N", "N", "N", "N", "N", "N", "N", "N", "N", "N", "N", "N", "N", "N", "N", "N", "N", "N", "N", "N", "N", "N", "N", "N", "N", "N", "N", "N", "N", "N", "N", "N", "N", "N", "N", "N", "N", "N", "N", "N", "N", "N", "N", "N", "N", "N", "N", "N", "N", "N", "N", "N"], "fractional_positions": [[0.000, 0.000, 0.000], [0.001, 0.849, 0.744], [0.018, 0.738, 0.487], [0.026, 0.170, 0.256], [0.079, 0.578, 0.836], [0.129, 0.995, 0.563], [0.137, 0.936, 0.300], [0.167, 0.315, 0.803], [0.197, 0.167, 0.041], [0.197, 0.799, 0.118], [0.202, 0.560, 0.640], [0.220, 0.457, 0.028], [0.241, 0.030, 0.810], [0.247, 0.325, 0.240], [0.297, 0.140, 0.398], [0.300, 0.615, 0.239], [0.326, 0.731, 0.860], [0.370, 0.443, 0.456], [0.420, 0.940, 0.552], [0.430, 0.935, 0.269], [0.462, 0.714, 0.116], [0.495, 0.695, 0.428], [0.498, 0.184, 0.200], [0.500, 0.992, 0.986], [0.505, 0.514, 0.627], [0.511, 0.309, 0.796], [0.521, 0.042, 0.731], [0.524, 0.789, 0.674], [0.582, 0.616, 0.878], [0.587, 0.495, 0.154], [0.621, 0.375, 0.376], [0.642, 0.199, 0.942], [0.694, 0.192, 0.593], [0.744, 0.895, 0.845], [0.751, 0.130, 0.379], [0.768, 0.764, 0.367], [0.772, 0.017, 0.189], [0.775, 0.885, 0.558], [0.850, 0.344, 0.822], [0.867, 0.647, 0.924], [0.883, 0.828, 0.131], [0.941, 0.142, 0.715], [0.966, 0.276, 0.001], [0.978, 0.417, 0.168], [0.990, 0.627, 0.221], [0.002, 0.368, 0.495], [0.025, 0.108, 0.595], [0.027, 0.146, 0.087], [0.049, 0.888, 0.134], [0.081, 0.325, 0.252], [0.090, 0.882, 0.439], [0.115, 0.631, 0.535], [0.118, 0.450, 0.734], [0.127, 0.565, 0.985], [0.147, 0.097, 0.327], [0.150, 0.679, 0.221], [0.151, 0.924, 0.712], [0.163, 0.031, 0.949], [0.171, 0.313, 0.970], [0.221, 0.657, 0.771], [0.254, 0.188, 0.754], [0.274, 0.900, 0.226], [0.288, 0.465, 0.170], [0.289, 0.038, 0.523], [0.301, 0.307, 0.391], [0.307, 0.768, 0.007], [0.309, 0.208, 0.148], [0.341, 0.489, 0.603], [0.348, 0.296, 0.801], [0.371, 0.588, 0.378], [0.400, 0.997, 0.844], [0.430, 0.093, 0.319], [0.462, 0.857, 0.412], [0.481, 0.729, 0.818], [0.503, 0.888, 0.119], [0.517, 0.569, 0.018], [0.530, 0.143, 0.048], [0.531, 0.349, 0.236], [0.531, 0.427, 0.491], [0.546, 0.664, 0.577], [0.556, 0.197, 0.680], [0.564, 0.476, 0.773], [0.589, 0.647, 0.213], [0.627, 0.672, 0.339], [0.633, 0.019, 0.878], [0.654, 0.106, 0.246], [0.676, 0.871, 0.691], [0.706, 0.266, 0.450], [0.724, 0.721, 0.891], [0.731, 0.445, 0.254], [0.741, 0.047, 0.519], [0.783, 0.866, 0.246], [0.794, 0.266, 0.961], [0.812, 0.242, 0.696], [0.836, 0.961, 0.045], [0.839, 0.406, 0.251], [0.883, 0.108, 0.288], [0.890, 0.497, 0.863], [0.894, 0.673, 0.088], [0.911, 0.967, 0.825], [0.917, 0.688, 0.355], [0.919, 0.428, 0.505], [0.921, 0.818, 0.603], [0.991, 0.721, 0.841], [0.997, 0.250, 0.837]]}

{"formula": "Si3N4", "functional": "GGA-PBE", "state": "relaxed", "formation_energy_ev_per_atom": -0.65, "sg": "P1", "magnetic_moment_mub_per_cell": 0.0, "energy_ev_per_cell": -790.6, "polymorph_energy_mev_per_atom": 653, "lattice_angstrom": [[10.371, 0.000, 0.000], [-0.437, 10.738, 0.000], [-0.385, -0.887, 11.057]], "species": ["Si", "Si", "Si", "Si", "Si", "Si", "Si", "Si", "Si", "Si", "Si", "Si", "Si", "Si", "Si", "Si", "Si", "Si", "Si", "Si", "Si", "Si", "Si", "Si", "Si", "Si", "Si", "Si", "Si", "Si", "Si", "Si", "Si", "Si", "Si", "Si", "Si", "Si", "Si", "Si", "Si", "Si", "Si", "Si", "Si", "N", "N", "N", "N", "N", "N", "N", "N", "N", "N", "N", "N", "N", "N", "N", "N", "N", "N", "N", "N", "N", "N", "N", "N", "N", "N", "N", "N", "N", "N", "N", "N", "N", "N", "N", "N", "N", "N", "N", "N", "N", "N", "N", "N", "N", "N", "N", "N", "N", "N", "N", "N", "N", "N", "N", "N", "N", "N", "N", "N"], "fractional_positions": [[0.000, 0.000, 0.000], [0.000, 0.056, 0.659], [0.011, 0.311, 0.349], [0.022, 0.085, 0.370], [0.031, 0.248, 0.784], [0.041, 0.485, 0.240], [0.088, 0.764, 0.612], [0.139, 0.468, 0.970], [0.165, 0.279, 0.559], [0.172, 0.709, 0.216], [0.174, 0.725, 0.982], [0.185, 0.593, 0.732], [0.185, 0.911, 0.804], [0.222, 0.523, 0.444], [0.255, 0.077, 0.482], [0.297, 0.938, 0.292], [0.389, 0.774, 0.783], [0.393, 0.434, 0.865], [0.415, 0.858, 0.068], [0.416, 0.620, 0.014], [0.429, 0.523, 0.637], [0.452, 0.723, 0.283], [0.476, 0.967, 0.855], [0.484, 0.266, 0.570], [0.534, 0.459, 0.398], [0.538, 0.950, 0.457], [0.554, 0.307, 0.787], [0.603, 0.418, 0.052], [0.606, 0.780, 0.681], [0.670, 0.043, 0.691], [0.690, 0.598, 0.268], [0.691, 0.634, 0.885], [0.693, 0.199, 0.433], [0.697, 0.926, 0.961], [0.711, 0.907, 0.288], [0.802, 0.396, 0.873], [0.821, 0.606, 0.669], [0.854, 0.830, 0.602], [0.856, 0.474, 0.415], [0.870, 0.538, 0.034], [0.914, 0.788, 0.876], [0.917, 0.347, 0.575], [0.927, 0.914, 0.175], [0.929, 0.734, 0.346], [0.965, 0.236, 0.993], [0.024, 0.784, 0.230], [0.030, 0.507, 0.087], [0.060, 0.341, 0.664], [0.085, 0.120, 0.530], [0.086, 0.853, 0.926], [0.094, 0.929, 0.674], [0.106, 0.313, 0.919], [0.113, 0.591, 0.876], [0.151, 0.370, 0.440], [0.154, 0.609, 0.571], [0.177, 0.038, 0.341], [0.184, 0.563, 0.293], [0.202, 0.259, 0.184], [0.224, 0.760, 0.734], [0.289, 0.320, 0.213], [0.296, 0.776, 0.313], [0.302, 0.168, 0.991], [0.306, 0.940, 0.142], [0.310, 0.488, 0.996], [0.310, 0.495, 0.741], [0.316, 0.216, 0.564], [0.318, 0.998, 0.831], [0.341, 0.743, 0.939], [0.380, 0.990, 0.441], [0.390, 0.498, 0.483], [0.400, 0.212, 0.980], [0.455, 0.140, 0.235], [0.465, 0.722, 0.130], [0.474, 0.676, 0.684], [0.519, 0.580, 0.299], [0.526, 0.401, 0.663], [0.527, 0.152, 0.164], [0.531, 0.933, 0.999], [0.540, 0.558, 0.931], [0.552, 0.848, 0.332], [0.554, 0.293, 0.433], [0.576, 0.180, 0.673], [0.583, 0.919, 0.606], [0.635, 0.026, 0.839], [0.655, 0.337, 0.913], [0.659, 0.044, 0.398], [0.678, 0.780, 0.833], [0.699, 0.486, 0.378], [0.727, 0.714, 0.597], [0.735, 0.522, 0.126], [0.754, 0.250, 0.175], [0.756, 0.523, 0.779], [0.756, 0.916, 0.129], [0.767, 0.239, 0.276], [0.768, 0.748, 0.309], [0.813, 0.231, 0.537], [0.837, 0.990, 0.644], [0.846, 0.678, 0.968], [0.862, 0.935, 0.917], [0.877, 0.258, 0.834], [0.882, 0.499, 0.570], [0.898, 0.985, 0.319], [0.933, 0.571, 0.325], [0.940, 0.734, 0.718], [0.970, 0.787, 0.497]]}

{"formula": "Si3N4", "functional": "GGA-PBE", "state": "relaxed", "formation_energy_ev_per_atom": -1.01, "sg": "Pnma", "magnetic_moment_mub_per_cell": 0.0, "energy_ev_per_cell": -221.0, "polymorph_energy_mev_per_atom": 288, "lattice_angstrom": [[9.524, 0.000, 0.000], [0.000, 5.578, 0.000], [0.000, 0.000, 4.576]], "species": ["Si", "Si", "Si", "Si", "Si", "Si", "Si", "Si", "Si", "Si", "Si", "Si", "N", "N", "N", "N", "N", "N", "N", "N", "N", "N", "N", "N", "N", "N", "N", "N"], "fractional_positions": [[0.000, 0.000, 0.000], [0.000, 0.500, 0.000], [0.092, 0.250, 0.440], [0.226, 0.750, 0.491], [0.274, 0.250, 0.991], [0.408, 0.750, 0.940], [0.500, 0.000, 0.500], [0.500, 0.500, 0.500], [0.592, 0.250, 0.060], [0.726, 0.750, 0.009], [0.774, 0.250, 0.509], [0.908, 0.750, 0.560], [0.071, 0.750, 0.743], [0.092, 0.250, 0.812], [0.163, 0.005, 0.258], [0.163, 0.495, 0.258], [0.337, 0.505, 0.758], [0.337, 0.995, 0.758], [0.408, 0.750, 0.312], [0.429, 0.250, 0.243], [0.571, 0.750, 0.757], [0.592, 0.250, 0.688], [0.663, 0.005, 0.242], [0.663, 0.495, 0.242], [0.837, 0.505, 0.742], [0.837, 0.995, 0.742], [0.908, 0.750, 0.188], [0.929, 0.250, 0.257]]}

Repeat the third record exactly.
{"formula": "Si3N4", "functional": "GGA-PBE", "state": "relaxed", "formation_energy_ev_per_atom": -1.01, "sg": "Pnma", "magnetic_moment_mub_per_cell": 0.0, "energy_ev_per_cell": -221.0, "polymorph_energy_mev_per_atom": 288, "lattice_angstrom": [[9.524, 0.000, 0.000], [0.000, 5.578, 0.000], [0.000, 0.000, 4.576]], "species": ["Si", "Si", "Si", "Si", "Si", "Si", "Si", "Si", "Si", "Si", "Si", "Si", "N", "N", "N", "N", "N", "N", "N", "N", "N", "N", "N", "N", "N", "N", "N", "N"], "fractional_positions": [[0.000, 0.000, 0.000], [0.000, 0.500, 0.000], [0.092, 0.250, 0.440], [0.226, 0.750, 0.491], [0.274, 0.250, 0.991], [0.408, 0.750, 0.940], [0.500, 0.000, 0.500], [0.500, 0.500, 0.500], [0.592, 0.250, 0.060], [0.726, 0.750, 0.009], [0.774, 0.250, 0.509], [0.908, 0.750, 0.560], [0.071, 0.750, 0.743], [0.092, 0.250, 0.812], [0.163, 0.005, 0.258], [0.163, 0.495, 0.258], [0.337, 0.505, 0.758], [0.337, 0.995, 0.758], [0.408, 0.750, 0.312], [0.429, 0.250, 0.243], [0.571, 0.750, 0.757], [0.592, 0.250, 0.688], [0.663, 0.005, 0.242], [0.663, 0.495, 0.242], [0.837, 0.505, 0.742], [0.837, 0.995, 0.742], [0.908, 0.750, 0.188], [0.929, 0.250, 0.257]]}